No. 1
An optimized crystal structure of Pr3Ge6Pt4, computed with PBE.

abc: 26.634 4.495 9.018
angles: 90.00 90.00 90.00
Element x y z (fractional)
Pr1 0.092 0.250 0.117
Pr2 0.092 0.250 0.632
Pr3 0.221 0.250 0.875
Pr4 0.279 0.750 0.375
Pr5 0.408 0.750 0.132
Pr6 0.408 0.750 0.617
Pr7 0.592 0.250 0.383
Pr8 0.592 0.250 0.868
Pr9 0.721 0.250 0.625
Pr10 0.779 0.750 0.125
Pr11 0.908 0.750 0.368
Pr12 0.908 0.750 0.883
Ge1 0.001 0.250 0.376
Ge2 0.002 0.750 0.129
Ge3 0.138 0.750 0.873
Ge4 0.142 0.750 0.372
Ge5 0.214 0.250 0.228
Ge6 0.215 0.250 0.523
Ge7 0.285 0.750 0.023
Ge8 0.286 0.750 0.728
Ge9 0.358 0.250 0.872
Ge10 0.362 0.250 0.373
Ge11 0.498 0.250 0.629
Ge12 0.499 0.750 0.876
Ge13 0.501 0.250 0.124
Ge14 0.502 0.750 0.371
Ge15 0.638 0.750 0.627
Ge16 0.642 0.750 0.128
Ge17 0.714 0.250 0.272
Ge18 0.715 0.250 0.977
Ge19 0.785 0.750 0.477
Ge20 0.786 0.750 0.772
Ge21 0.858 0.250 0.628
Ge22 0.862 0.250 0.127
Ge23 0.998 0.250 0.871
Ge24 0.999 0.750 0.624
Pt1 0.044 0.750 0.872
Pt2 0.048 0.750 0.378
Pt3 0.187 0.750 0.124
Pt4 0.187 0.750 0.625
Pt5 0.313 0.250 0.125
Pt6 0.313 0.250 0.624
Pt7 0.452 0.250 0.878
Pt8 0.456 0.250 0.372
Pt9 0.544 0.750 0.628
Pt10 0.548 0.750 0.122
Pt11 0.687 0.750 0.376
Pt12 0.687 0.750 0.875
Pt13 0.813 0.250 0.375
Pt14 0.813 0.250 0.876
Pt15 0.952 0.250 0.622
Pt16 0.956 0.250 0.128

Computed properties:
Calculated density: 10082 kg/m3
ΔE_f: -0.91 eV/atom
Uncorrected energy: -78.3 eV per formula unit

---

No. 2
An optimized crystal structure of SiO2, computed with PBE.

abc: 9.211 9.211 5.255
angles: 90.00 90.00 120.00
Element x y z (fractional)
Si1 0.117 0.558 0.250
Si2 0.442 0.558 0.250
Si3 0.442 0.883 0.250
Si4 0.558 0.117 0.750
Si5 0.558 0.442 0.750
Si6 0.883 0.442 0.750
O1 0.000 0.500 0.000
O2 0.000 0.500 0.500
O3 0.237 0.475 0.250
O4 0.237 0.763 0.250
O5 0.475 0.237 0.750
O6 0.500 0.000 0.000
O7 0.500 0.000 0.500
O8 0.500 0.500 0.000
O9 0.500 0.500 0.500
O10 0.525 0.763 0.250
O11 0.763 0.237 0.750
O12 0.763 0.525 0.750

Computed properties:
Calculated density: 1551 kg/m3
ΔE_f: -3.24 eV/atom
Uncorrected energy: -23.7 eV per formula unit

---

No. 3
An optimized crystal structure of Ni8Ge2B3, computed with PBE.

abc: 2.933 14.680 6.084
angles: 90.00 90.00 90.00
Element x y z (fractional)
Ni1 0.250 0.024 0.200
Ni2 0.250 0.105 0.634
Ni3 0.250 0.250 0.076
Ni4 0.250 0.395 0.634
Ni5 0.250 0.476 0.200
Ni6 0.250 0.663 0.659
Ni7 0.250 0.750 0.297
Ni8 0.250 0.837 0.659
Ni9 0.750 0.163 0.341
Ni10 0.750 0.250 0.703
Ni11 0.750 0.337 0.341
Ni12 0.750 0.524 0.800
Ni13 0.750 0.605 0.366
Ni14 0.750 0.750 0.924
Ni15 0.750 0.895 0.366
Ni16 0.750 0.976 0.800
Ge1 0.250 0.625 0.038
Ge2 0.250 0.875 0.038
Ge3 0.750 0.125 0.962
Ge4 0.750 0.375 0.962
B1 0.250 0.250 0.457
B2 0.250 0.532 0.539
B3 0.250 0.968 0.539
B4 0.750 0.032 0.461
B5 0.750 0.468 0.461
B6 0.750 0.750 0.543

Computed properties:
Calculated density: 8206 kg/m3
ΔE_f: -0.32 eV/atom
Uncorrected energy: -79.7 eV per formula unit

---

No. 4
An optimized crystal structure of CoNiSb, computed with PBE.

abc: 4.016 4.016 9.877
angles: 90.00 90.00 120.00
Element x y z (fractional)
Co1 0.000 0.000 0.000
Co2 0.000 0.000 0.250
Co3 0.000 0.000 0.515
Ni1 0.000 0.000 0.748
Ni2 0.667 0.333 0.371
Ni3 0.667 0.333 0.643
Sb1 0.333 0.667 0.447
Sb2 0.333 0.667 0.847
Sb3 0.667 0.333 0.118

Computed properties:
Calculated density: 8646 kg/m3
ΔE_f: 0.00 eV/atom
Uncorrected energy: -16.8 eV per formula unit

---

No. 5
An optimized crystal structure of Na2GeO9, computed with PBE.

abc: 6.538 5.106 11.537
angles: 90.00 94.52 90.00
Element x y z (fractional)
Na1 0.125 0.000 0.393
Na2 0.374 0.620 0.917
Na3 0.626 0.120 0.083
Na4 0.875 0.500 0.607
Ge1 0.193 0.379 0.173
Ge2 0.807 0.879 0.827
O1 0.084 0.932 0.615
O2 0.096 0.950 0.189
O3 0.105 0.898 0.817
O4 0.149 0.050 0.712
O5 0.208 0.778 0.134
O6 0.292 0.354 0.315
O7 0.311 0.318 0.050
O8 0.346 0.515 0.587
O9 0.382 0.658 0.505
O10 0.618 0.158 0.495
O11 0.654 0.015 0.413
O12 0.689 0.818 0.950
O13 0.708 0.854 0.685
O14 0.792 0.278 0.866
O15 0.851 0.550 0.288
O16 0.895 0.398 0.183
O17 0.904 0.450 0.811
O18 0.916 0.432 0.385

Computed properties:
Calculated density: 2272 kg/m3
ΔE_f: -0.73 eV/atom
Uncorrected energy: -59.1 eV per formula unit

---

No. 6
An optimized crystal structure of SrBiBr5O8, computed with PBE.

abc: 12.834 16.035 9.448
angles: 90.00 90.00 90.00
Element x y z (fractional)
Sr1 0.127 0.120 0.000
Sr2 0.373 0.620 0.000
Sr3 0.627 0.380 0.000
Sr4 0.873 0.880 0.000
Bi1 0.186 0.512 0.500
Bi2 0.314 0.012 0.500
Bi3 0.686 0.988 0.500
Bi4 0.814 0.488 0.500
Br1 0.003 0.619 0.500
Br2 0.157 0.124 0.500
Br3 0.194 0.867 0.500
Br4 0.220 0.495 0.198
Br5 0.220 0.495 0.802
Br6 0.280 0.995 0.198
Br7 0.280 0.995 0.802
Br8 0.306 0.367 0.500
Br9 0.343 0.624 0.500
Br10 0.497 0.119 0.500
Br11 0.503 0.881 0.500
Br12 0.657 0.376 0.500
Br13 0.694 0.633 0.500
Br14 0.720 0.005 0.198
Br15 0.720 0.005 0.802
Br16 0.780 0.505 0.198
Br17 0.780 0.505 0.802
Br18 0.806 0.133 0.500
Br19 0.843 0.876 0.500
Br20 0.997 0.381 0.500
O1 0.004 0.960 0.146
O2 0.004 0.960 0.854
O3 0.008 0.462 0.000
O4 0.170 0.251 0.175
O5 0.170 0.251 0.825
O6 0.212 0.549 0.000
O7 0.241 0.768 0.215
O8 0.241 0.768 0.785
O9 0.259 0.268 0.215
O10 0.259 0.268 0.785
O11 0.288 0.049 0.000
O12 0.330 0.751 0.175
O13 0.330 0.751 0.825
O14 0.492 0.962 0.000
O15 0.496 0.460 0.146
O16 0.496 0.460 0.854
O17 0.504 0.540 0.146
O18 0.504 0.540 0.854
O19 0.508 0.038 0.000
O20 0.670 0.249 0.175
O21 0.670 0.249 0.825
O22 0.712 0.951 0.000
O23 0.741 0.732 0.215
O24 0.741 0.732 0.785
O25 0.759 0.232 0.215
O26 0.759 0.232 0.785
O27 0.788 0.451 0.000
O28 0.830 0.749 0.175
O29 0.830 0.749 0.825
O30 0.992 0.538 0.000
O31 0.996 0.040 0.146
O32 0.996 0.040 0.854

Computed properties:
Calculated density: 2815 kg/m3
ΔE_f: -0.47 eV/atom
Uncorrected energy: -59.2 eV per formula unit

---

No. 7
An optimized crystal structure of HfNpO3, computed with PBE.

abc: 4.121 4.121 4.121
angles: 90.00 90.00 90.00
Element x y z (fractional)
Hf1 0.000 0.000 0.000
Np1 0.500 0.500 0.500
O1 0.000 0.000 0.500
O2 0.000 0.500 0.000
O3 0.500 0.000 0.000

Computed properties:
Calculated density: 10997 kg/m3
ΔE_f: -3.13 eV/atom
Uncorrected energy: -51.4 eV per formula unit

---

No. 8
An optimized crystal structure of K2RbGaF6, computed with PBE.

abc: 6.426 6.426 6.426
angles: 60.00 60.00 60.00
Element x y z (fractional)
K1 0.250 0.250 0.250
K2 0.750 0.750 0.750
Rb1 0.000 0.000 0.000
Ga1 0.500 0.500 0.500
F1 0.288 0.288 0.712
F2 0.288 0.712 0.288
F3 0.288 0.712 0.712
F4 0.712 0.288 0.288
F5 0.712 0.288 0.712
F6 0.712 0.712 0.288

Computed properties:
Calculated density: 3074 kg/m3
ΔE_f: -3.01 eV/atom
Uncorrected energy: -45.0 eV per formula unit

---

No. 9
An optimized crystal structure of CaSnP2O7, computed with PBE.

abc: 7.610 9.734 9.599
angles: 90.00 113.46 90.00
Element x y z (fractional)
Ca1 0.211 0.052 0.322
Ca2 0.211 0.448 0.822
Ca3 0.789 0.552 0.178
Ca4 0.789 0.948 0.678
Sn1 0.266 0.082 0.892
Sn2 0.266 0.418 0.392
Sn3 0.734 0.582 0.608
Sn4 0.734 0.918 0.108
P1 0.031 0.723 0.973
P2 0.031 0.777 0.473
P3 0.431 0.739 0.245
P4 0.431 0.761 0.745
P5 0.569 0.239 0.255
P6 0.569 0.261 0.755
P7 0.969 0.223 0.527
P8 0.969 0.277 0.027
O1 0.000 0.103 0.639
O2 0.000 0.397 0.139
O3 0.000 0.603 0.861
O4 0.000 0.897 0.361
O5 0.021 0.635 0.402
O6 0.021 0.865 0.902
O7 0.104 0.215 0.443
O8 0.104 0.285 0.943
O9 0.246 0.691 0.096
O10 0.246 0.809 0.596
O11 0.393 0.622 0.800
O12 0.393 0.878 0.300
O13 0.405 0.243 0.313
O14 0.405 0.257 0.813
O15 0.468 0.620 0.358
O16 0.468 0.880 0.858
O17 0.532 0.120 0.142
O18 0.532 0.380 0.642
O19 0.595 0.743 0.187
O20 0.595 0.757 0.687
O21 0.607 0.122 0.700
O22 0.607 0.378 0.200
O23 0.754 0.191 0.404
O24 0.754 0.309 0.904
O25 0.896 0.715 0.057
O26 0.896 0.785 0.557
O27 0.979 0.135 0.098
O28 0.979 0.365 0.598

Computed properties:
Calculated density: 3388 kg/m3
ΔE_f: -2.74 eV/atom
Uncorrected energy: -76.8 eV per formula unit

---

No. 10
An optimized crystal structure of MgSi2, computed with PBE.

abc: 5.222 5.222 5.222
angles: 127.50 116.35 86.98
Element x y z (fractional)
Mg1 0.254 0.004 0.250
Mg2 0.746 0.996 0.750
Si1 0.161 0.667 0.494
Si2 0.327 0.333 0.994
Si3 0.673 0.667 0.006
Si4 0.839 0.333 0.506

Computed properties:
Calculated density: 2773 kg/m3
ΔE_f: 0.21 eV/atom
Uncorrected energy: -12.0 eV per formula unit

---

No. 11
An optimized crystal structure of SmCo2, computed with PBE.

abc: 5.134 5.134 5.134
angles: 60.00 60.00 60.00
Element x y z (fractional)
Sm1 0.125 0.125 0.125
Sm2 0.875 0.875 0.875
Co1 0.000 0.500 0.500
Co2 0.500 0.000 0.500
Co3 0.500 0.500 0.000
Co4 0.500 0.500 0.500

Computed properties:
Calculated density: 9309 kg/m3
ΔE_f: -0.10 eV/atom
Uncorrected energy: -19.2 eV per formula unit

---

No. 12
An optimized crystal structure of RbLaMg6O8, computed with PBE.

abc: 4.737 4.737 9.124
angles: 90.00 90.00 90.00
Element x y z (fractional)
Rb1 0.000 0.000 0.000
La1 0.500 0.500 0.000
Mg1 0.000 0.000 0.500
Mg2 0.000 0.500 0.277
Mg3 0.000 0.500 0.723
Mg4 0.500 0.000 0.277
Mg5 0.500 0.000 0.723
Mg6 0.500 0.500 0.500
O1 0.000 0.000 0.286
O2 0.000 0.000 0.714
O3 0.000 0.500 0.000
O4 0.000 0.500 0.500
O5 0.500 0.000 0.000
O6 0.500 0.000 0.500
O7 0.500 0.500 0.273
O8 0.500 0.500 0.727

Computed properties:
Calculated density: 4041 kg/m3
ΔE_f: -2.61 eV/atom
Uncorrected energy: -91.3 eV per formula unit

---

No. 13
An optimized crystal structure of BaNdZr4O12, computed with PBE.

abc: 8.295 5.909 5.909
angles: 89.97 90.00 90.00
Element x y z (fractional)
Ba1 0.000 0.000 0.000
Nd1 0.500 0.559 0.559
Zr1 0.254 0.042 0.515
Zr2 0.254 0.515 0.042
Zr3 0.746 0.042 0.515
Zr4 0.746 0.515 0.042
O1 0.000 0.045 0.497
O2 0.000 0.497 0.045
O3 0.243 0.752 0.752
O4 0.253 0.249 0.803
O5 0.253 0.803 0.249
O6 0.312 0.327 0.327
O7 0.500 0.543 0.953
O8 0.500 0.953 0.543
O9 0.688 0.327 0.327
O10 0.747 0.249 0.803
O11 0.747 0.803 0.249
O12 0.757 0.752 0.752

Computed properties:
Calculated density: 4807 kg/m3
ΔE_f: -3.26 eV/atom
Uncorrected energy: -150.6 eV per formula unit

---

No. 14
An optimized crystal structure of K2TlSbF6, computed with PBE.

abc: 6.837 6.837 6.837
angles: 60.00 60.00 60.00
Element x y z (fractional)
K1 0.250 0.250 0.250
K2 0.750 0.750 0.750
Tl1 0.000 0.000 0.000
Sb1 0.500 0.500 0.500
F1 0.273 0.273 0.727
F2 0.273 0.727 0.273
F3 0.273 0.727 0.727
F4 0.727 0.273 0.273
F5 0.727 0.273 0.727
F6 0.727 0.727 0.273

Computed properties:
Calculated density: 3809 kg/m3
ΔE_f: -2.61 eV/atom
Uncorrected energy: -43.5 eV per formula unit

---

No. 15
An optimized crystal structure of CdAg2GeS4, computed with PBE.

abc: 7.915 7.134 6.715
angles: 90.00 90.00 90.00
Element x y z (fractional)
Cd1 0.000 0.145 0.000
Cd2 0.500 0.855 0.500
Ag1 0.244 0.321 0.480
Ag2 0.256 0.679 0.980
Ag3 0.744 0.679 0.980
Ag4 0.756 0.321 0.480
Ge1 0.000 0.825 0.496
Ge2 0.500 0.175 0.996
S1 0.000 0.120 0.614
S2 0.000 0.821 0.161
S3 0.231 0.667 0.603
S4 0.269 0.333 0.103
S5 0.500 0.179 0.661
S6 0.500 0.880 0.114
S7 0.731 0.333 0.103
S8 0.769 0.667 0.603

Computed properties:
Calculated density: 4634 kg/m3
Largest piezoelectric modulus: 0.437 C/m²
ΔE_f: -0.59 eV/atom
Uncorrected energy: -30.5 eV per formula unit